Record 1
A relaxed structure of Gd2TeO6, computed with PBE.

Calculated values
* space group: P2_12_12_1 (19)
* uncorrected energy: -9.291 eV/atom
* formation enthalpy at 0 K: -2.9726 eV per atom

Lattice parameters (Å, degrees): 5.3782 9.2656 10.1565 90.00 90.00 90.00
With the nearest neighbours (Å) after each atom.
Element x y z (fractional)
Gd (0.0205, 0.1036, 0.0391)  6 O 2.28-2.49
Gd (0.0368, 0.2168, 0.6363)  7 O 2.31-2.55
Gd (0.4632, 0.7832, 0.1363)  7 O 2.31-2.55
Gd (0.4795, 0.8964, 0.5391)  6 O 2.28-2.49
Gd (0.5205, 0.3964, 0.9609)  6 O 2.28-2.49
Gd (0.5368, 0.2832, 0.3637)  7 O 2.31-2.55
Gd (0.9632, 0.7168, 0.8637)  7 O 2.31-2.55
Gd (0.9795, 0.6036, 0.4609)  6 O 2.28-2.49
Te (0.0386, 0.4954, 0.1467)  6 O 1.93-1.98
Te (0.4614, 0.5046, 0.6467)  6 O 1.93-1.98
Te (0.5386, 0.0046, 0.8533)  6 O 1.93-1.98
Te (0.9614, 0.9954, 0.3533)  6 O 1.93-1.98
O (0.0845, 0.8462, 0.4715)  1 Te 1.95
O (0.1679, 0.9488, 0.2042)  1 Te 1.93
O (0.1853, 0.6393, 0.6778)  1 Te 1.96
O (0.1847, 0.6398, 0.2599)  1 Te 1.93
O (0.2296, 0.1136, 0.4320)  1 Te 1.98
O (0.2434, 0.5852, 0.0063)  1 Te 1.98
O (0.2566, 0.4148, 0.5063)  1 Te 1.98
O (0.2704, 0.8864, 0.9320)  1 Te 1.98
O (0.3153, 0.3602, 0.7599)  1 Te 1.93
O (0.3147, 0.3607, 0.1778)  1 Te 1.96
O (0.3321, 0.0512, 0.7042)  1 Te 1.93
O (0.4155, 0.1538, 0.9715)  1 Te 1.95
O (0.5845, 0.6538, 0.5285)  1 Te 1.95
O (0.6679, 0.5512, 0.7958)  1 Te 1.93
O (0.6847, 0.8602, 0.7401)  1 Te 1.93
O (0.6853, 0.8607, 0.3222)  1 Te 1.96
O (0.7296, 0.3864, 0.5680)  1 Te 1.98
O (0.7434, 0.9148, 0.9937)  1 Te 1.98
O (0.7566, 0.0852, 0.4937)  1 Te 1.98
O (0.7704, 0.6136, 0.0680)  1 Te 1.98
O (0.8147, 0.1393, 0.8222)  1 Te 1.96
O (0.8153, 0.1398, 0.2401)  1 Te 1.93
O (0.8321, 0.4488, 0.2958)  1 Te 1.93
O (0.9155, 0.3462, 0.0285)  1 Te 1.95

=====

Record 2
A relaxed structure of Gd2TeO2, computed with PBE.

Calculated values
* space group: I4/mmm (139)
* uncorrected energy: -11.167 eV/atom
* formation enthalpy at 0 K: -3.2034 eV per atom

Lattice parameters (Å, degrees): 6.9421 6.9421 6.9421 146.67 146.67 47.85
With the nearest neighbours (Å) after each atom.
Element x y z (fractional)
Gd (0.1611, 0.1611, 0.0000)  4 O 2.29
Gd (0.8389, 0.8389, 0.0000)  4 O 2.29
Te (0.5000, 0.5000, 0.0000)  8 Gd 3.48, 8 O 3.75
O (0.2500, 0.7500, 0.5000)  4 Gd 2.29
O (0.7500, 0.2500, 0.5000)  4 Gd 2.29

=====

Record 3
A relaxed structure of GdThO3, computed with PBE.

Calculated values
* space group: Pm-3m (221)
* uncorrected energy: -9.993 eV/atom
* formation enthalpy at 0 K: -3.1380 eV per atom

Lattice parameters (Å, degrees): 4.5889 4.5889 4.5889 90.00 90.00 90.00
With the nearest neighbours (Å) after each atom.
Element x y z (fractional)
Gd (0.0000, 0.0000, 0.0000)  12 O 3.24
Th (0.5000, 0.5000, 0.5000)  6 O 2.29
O (0.0000, 0.5000, 0.5000)  2 Th 2.29
O (0.5000, 0.0000, 0.5000)  2 Th 2.29
O (0.5000, 0.5000, 0.0000)  2 Th 2.29

=====

Record 4
A relaxed structure of GdTiO3, computed with PBE.

Calculated values
* space group: Pnma (62)
* uncorrected energy: -10.569 eV/atom
* formation enthalpy at 0 K: -3.6176 eV per atom

Lattice parameters (Å, degrees): 5.7062 7.7467 5.4119 90.00 90.00 90.00
With the nearest neighbours (Å) after each atom.
Element x y z (fractional)
Gd (0.0691, 0.2500, 0.0184)  6 O 2.31-2.55
Gd (0.4309, 0.7500, 0.5184)  6 O 2.31-2.55
Gd (0.5691, 0.2500, 0.4816)  6 O 2.31-2.55
Gd (0.9309, 0.7500, 0.9816)  6 O 2.31-2.55
Ti (0.0000, 0.0000, 0.5000)  6 O 2.03-2.05
Ti (0.0000, 0.5000, 0.5000)  6 O 2.03-2.05
Ti (0.5000, 0.0000, 0.0000)  6 O 2.03-2.05
Ti (0.5000, 0.5000, 0.0000)  6 O 2.03-2.05
O (0.0323, 0.7500, 0.3947)  2 Ti 2.03
O (0.2000, 0.5526, 0.8053)  2 Ti 2.05
O (0.2000, 0.9474, 0.8053)  2 Ti 2.05
O (0.3000, 0.0526, 0.3053)  2 Ti 2.05
O (0.3000, 0.4474, 0.3053)  2 Ti 2.05
O (0.4677, 0.2500, 0.8947)  2 Ti 2.03
O (0.5323, 0.7500, 0.1053)  2 Ti 2.03
O (0.7000, 0.5526, 0.6947)  2 Ti 2.05
O (0.7000, 0.9474, 0.6947)  2 Ti 2.05
O (0.8000, 0.0526, 0.1947)  2 Ti 2.05
O (0.8000, 0.4474, 0.1947)  2 Ti 2.05
O (0.9677, 0.2500, 0.6053)  2 Ti 2.03

=====

Record 5
A relaxed structure of Gd2TiZnO6, computed with PBE.

Calculated values
* space group: P2_1/c (14)
* uncorrected energy: -9.657 eV/atom
* formation enthalpy at 0 K: -3.3696 eV per atom

Lattice parameters (Å, degrees): 5.3990 5.7300 9.3893 90.00 124.53 90.00
With the nearest neighbours (Å) after each atom.
Element x y z (fractional)
Gd (0.2296, 0.0690, 0.2476)  5 O 2.28-2.53
Gd (0.2296, 0.4310, 0.7476)  5 O 2.28-2.53
Gd (0.7704, 0.5690, 0.2524)  5 O 2.28-2.53
Gd (0.7704, 0.9310, 0.7524)  5 O 2.28-2.53
Ti (0.5000, 0.0000, 0.0000)  6 O 1.96-2.00
Ti (0.5000, 0.5000, 0.5000)  6 O 1.96-2.00
Zn (0.0000, 0.0000, 0.5000)  6 O 2.11-2.16
Zn (0.0000, 0.5000, 0.0000)  6 O 2.11-2.16
O (0.1494, 0.1834, 0.9464)  1 Ti 1.96, 1 Zn 2.16
O (0.1494, 0.3166, 0.4464)  1 Ti 1.96, 1 Zn 2.16
O (0.2580, 0.7077, 0.9385)  1 Ti 2.00, 1 Zn 2.15
O (0.2580, 0.7923, 0.4385)  1 Ti 2.00, 1 Zn 2.15
O (0.3707, 0.0414, 0.7579)  1 Ti 1.98, 1 Zn 2.11
O (0.3707, 0.4586, 0.2579)  1 Ti 1.98, 1 Zn 2.11
O (0.6293, 0.5414, 0.7421)  1 Ti 1.98, 1 Zn 2.11
O (0.6293, 0.9586, 0.2421)  1 Ti 1.98, 1 Zn 2.11
O (0.7420, 0.2077, 0.5615)  1 Ti 2.00, 1 Zn 2.15
O (0.7420, 0.2923, 0.0615)  1 Ti 2.00, 1 Zn 2.15
O (0.8506, 0.6834, 0.5536)  1 Ti 1.96, 1 Zn 2.16
O (0.8506, 0.8166, 0.0536)  1 Ti 1.96, 1 Zn 2.16

=====

Record 6
A relaxed structure of GdTmO3, computed with PBE.

Calculated values
* space group: Pnma (62)
* uncorrected energy: -10.193 eV/atom
* formation enthalpy at 0 K: -3.9262 eV per atom

Lattice parameters (Å, degrees): 5.9498 8.3335 5.6914 90.00 90.00 90.00
With the nearest neighbours (Å) after each atom.
Element x y z (fractional)
Gd (0.0531, 0.2500, 0.0133)  4 O 2.26-2.41
Gd (0.4469, 0.7500, 0.5133)  4 O 2.26-2.41
Gd (0.5531, 0.2500, 0.4867)  4 O 2.26-2.41
Gd (0.9469, 0.7500, 0.9867)  4 O 2.26-2.41
Tm (0.0000, 0.0000, 0.5000)  6 O 2.21-2.26
Tm (0.0000, 0.5000, 0.5000)  6 O 2.21-2.26
Tm (0.5000, 0.0000, 0.0000)  6 O 2.21-2.26
Tm (0.5000, 0.5000, 0.0000)  6 O 2.21-2.26
O (0.0689, 0.7500, 0.3621)  2 Gd 2.26-2.41, 2 Tm 2.26
O (0.1838, 0.5713, 0.8199)  2 Tm 2.21-2.22, 1 Gd 2.26
O (0.1838, 0.9287, 0.8199)  2 Tm 2.21-2.22, 1 Gd 2.26
O (0.3162, 0.0713, 0.3199)  2 Tm 2.21-2.22, 1 Gd 2.26
O (0.3162, 0.4287, 0.3199)  2 Tm 2.21-2.22, 1 Gd 2.26
O (0.4311, 0.2500, 0.8621)  2 Gd 2.26-2.41, 2 Tm 2.26
O (0.5689, 0.7500, 0.1379)  2 Gd 2.26-2.41, 2 Tm 2.26
O (0.6838, 0.5713, 0.6801)  2 Tm 2.21-2.22, 1 Gd 2.26
O (0.6838, 0.9287, 0.6801)  2 Tm 2.21-2.22, 1 Gd 2.26
O (0.8162, 0.0713, 0.1801)  2 Tm 2.21-2.22, 1 Gd 2.26
O (0.8162, 0.4287, 0.1801)  2 Tm 2.21-2.22, 1 Gd 2.26
O (0.9311, 0.2500, 0.6379)  2 Gd 2.26-2.41, 2 Tm 2.26